(1)
Entry from the Materials Project database: a relaxed Tm2ZnRh crystal (GGA-PBE).

Structure (extended XYZ):
```
4
Lattice="-3.1738 -1.6012 3.3345 -4.4256 -1.5096 -1.3751 -1.1335 -4.7357 0.2092" Properties=species:S:1:pos:R:3 pbc="T T T"
Tm -2.1832 -1.9616 0.5421
Tm -6.5497 -5.8848 1.6264
Zn 0.0000 0.0000 0.0000
Rh -4.3665 -3.9232 1.0843
```

Properties
Space group = Fm-3m (225)
Volume = 81.9 Å³ per cell
Crystal system = cubic
Formation energy = -0.650 eV/atom

---

(2)
Entry from the Materials Project database: a relaxed Sr14Hg51 crystal (GGA-PBE).

Structure (extended XYZ):
```
65
Lattice="1.9261 13.9755 -1.3548 -9.8646 -6.5792 -7.7630 -7.0008 1.6885 7.4651" Properties=species:S:1:pos:R:3 pbc="T T T"
Sr -11.7511 5.4739 -5.0522
Sr -5.1157 2.2275 1.9049
Sr -11.4376 -4.3515 -2.5358
Sr -5.1897 10.7034 -0.0817
Sr -3.9116 6.5934 2.0465
Sr -7.4124 6.6078 -1.2398
Sr -3.0126 3.6807 -3.6578
Sr -3.6225 9.5716 -5.5622
Sr 0.6226 8.1195 -1.2526
Sr -8.9338 -3.2077 -7.6527
Sr -6.3181 5.0659 -7.0710
Sr -2.5512 -1.0411 -2.1571
Sr -10.7765 1.4402 -0.4638
Sr -8.0931 0.7930 -3.3250
Hg -4.8301 12.6813 4.8920
Hg -7.2640 3.3665 4.7163
Hg -11.8280 9.6436 -0.9836
Hg -7.1835 11.2797 3.0107
Hg -6.7021 6.6353 4.5128
Hg -10.0493 7.7794 1.1149
Hg -2.2361 10.0865 -2.2648
Hg -1.7546 5.4420 -0.7628
Hg -5.1019 6.5862 -4.1607
Hg 0.1088 11.4901 -0.3744
Hg -2.3251 2.1753 -0.5501
Hg -6.8891 8.4524 -6.2500
Hg -7.5602 3.0806 -0.5806
Hg -9.3332 -1.8016 -1.1390
Hg -11.4110 2.0709 -3.9635
Hg -11.2864 -0.8350 -3.1894
Hg -9.5428 4.0034 -2.6487
Hg -7.4752 0.1815 0.1549
Hg 0.0000 0.0000 0.0000
Hg -2.0042 7.1239 -3.4909
Hg -7.0406 5.0929 1.8170
Hg -8.4742 9.8581 -0.6053
Hg -4.4459 9.7849 3.1890
Hg -4.2370 4.2679 4.6283
Hg -10.7833 6.8791 -2.1015
Hg -4.9339 13.5873 1.8668
Hg -1.9434 3.7147 2.1826
Hg -8.4897 6.3260 -4.5472
Hg -2.6403 13.0342 -0.5789
Hg -4.7426 4.5387 -0.6334
Hg -6.1762 9.3039 -3.0557
Hg -2.1479 9.2307 0.7386
Hg -10.2001 4.7922 0.4651
Hg -9.9417 -0.9365 2.0031
Hg -13.8583 0.8678 -2.0780
Hg -12.4723 -1.5884 -0.1519
Hg -12.7470 4.0431 -1.6833
Hg -8.8838 2.2937 2.3354
Hg -8.6065 -2.5208 -4.2741
Hg -8.8812 3.1108 -5.8055
Hg -5.0180 1.3613 -1.7868
Hg -6.4030 3.8764 -3.5838
Hg -6.1446 -1.8523 -2.0458
Hg -10.0612 -0.0480 -6.1269
Hg -4.8167 1.1617 5.1361
Hg -6.8510 8.2929 1.6774
Hg -4.1581 7.6435 -1.1940
Hg -2.1841 0.5268 2.3290
Hg -5.8529 1.9582 -5.9318
Hg -4.8814 -0.4431 -4.4776
Hg -7.0688 -0.6980 -6.4714
```

Properties
Space group = P-6 (174)
Volume = 1804.3 Å³ per cell
Crystal system = hexagonal
Formation energy = -0.357 eV/atom

---

(3)
Entry from the Materials Project database: a relaxed MgH2 crystal (GGA-PBE).

Structure (extended XYZ):
```
3
Lattice="2.7553 -1.9260 -0.1939 -0.2521 -3.3396 0.3499 0.4644 -2.0115 -2.6603" Properties=species:S:1:pos:R:3 pbc="T T T"
Mg 0.0000 0.0000 0.0000
H 2.2257 -5.4578 -1.8782
H 0.7419 -1.8193 -0.6261
```

Properties
Space group = Fm-3m (225)
Volume = 27.0 Å³ per cell
Crystal system = cubic
Formation energy = -0.185 eV/atom

---

Repeat the first record exactly.
Entry from the Materials Project database: a relaxed Tm2ZnRh crystal (GGA-PBE).

Structure (extended XYZ):
```
4
Lattice="-3.1738 -1.6012 3.3345 -4.4256 -1.5096 -1.3751 -1.1335 -4.7357 0.2092" Properties=species:S:1:pos:R:3 pbc="T T T"
Tm -2.1832 -1.9616 0.5421
Tm -6.5497 -5.8848 1.6264
Zn 0.0000 0.0000 0.0000
Rh -4.3665 -3.9232 1.0843
```

Properties
Space group = Fm-3m (225)
Volume = 81.9 Å³ per cell
Crystal system = cubic
Formation energy = -0.650 eV/atom

---

Q: What is the formula in the second record?
A: Sr14Hg51

---

Q: The lowest volume belongs to which entry?
A: MgH2

---

Q: The highest formation energy belongs to which entry?
A: MgH2